The following is a PBE calculation of crystalline Sb2H3C3SCl6O5F3 at its relaxed geometry, from the Materials Project database.

Values from the calculation:
**DFT formation energy**: -1049 meV per atom
**Energy**: -4.832 eV per atom
**Total magnetization**: 0.000 μB/f.u.

Cell and atoms, written as CIF:
```
data_Sb2H3C3SCl6O5F3
_chemical_formula_sum 'Sb4 H6 C6 S2 Cl12 O10 F6'
_cell_length_a 7.0949
_cell_length_b 9.9799
_cell_length_c 14.4328
_cell_angle_alpha 90.37
_cell_angle_beta 90.04
_cell_angle_gamma 105.34
_symmetry_space_group_name_H-M 'P -1'
_symmetry_Int_Tables_number 2
_symmetry_space_group_name_Hall '-P 1'
loop_
_atom_site_label
_atom_site_fract_x
_atom_site_fract_y
_atom_site_fract_z
Sb1 0.1576 0.2729 0.3631
Sb2 0.1586 0.2731 0.1367
H1 0.1982 0.4290 0.7486
H2 0.3581 0.6647 0.6958
H3 0.4278 0.4150 0.8065
C1 0.3517 0.4751 0.7651
C2 0.4153 0.9212 0.2499
C3 0.4357 0.6027 0.7349
S1 0.1785 0.9734 0.2496
Cl1 0.1025 0.8332 0.9595
Cl2 0.1038 0.8324 0.5413
Cl3 0.1431 0.5028 0.3847
Cl4 0.1437 0.5024 0.1155
Cl5 0.4073 0.2833 0.4713
Cl6 0.4109 0.2830 0.0307
O1 0.0044 0.7634 0.7506
O2 0.0241 0.8473 0.2496
O3 0.1961 0.0589 0.1639
O4 0.1956 0.0598 0.3359
O5 0.3671 0.3295 0.2522
F1 0.4224 0.8441 0.1736
F2 0.4217 0.8451 0.3260
F3 0.4314 0.9656 0.7498
```

The following is a PBE calculation of crystalline ScPdO3 at its relaxed geometry, from the Materials Project database.

Values from the calculation:
**DFT formation energy**: -1541 meV per atom
**Energy**: -6.400 eV per atom
**Total magnetization**: 2.994 μB/f.u.

Cell and atoms, written as CIF:
```
data_ScPdO3
_chemical_formula_sum 'Sc1 Pd1 O3'
_cell_length_a 4.0788
_cell_length_b 4.0788
_cell_length_c 4.0788
_cell_angle_alpha 90.00
_cell_angle_beta 90.00
_cell_angle_gamma 90.00
_symmetry_space_group_name_H-M 'P m -3 m'
_symmetry_Int_Tables_number 221
_symmetry_space_group_name_Hall '-P 4 2 3'
loop_
_atom_site_label
_atom_site_fract_x
_atom_site_fract_y
_atom_site_fract_z
Sc1 0.0000 0.0000 0.0000
Pd1 0.5000 0.5000 0.5000
O1 0.0000 0.0000 0.5000
```

The following is a PBE calculation of crystalline AcI3 at its relaxed geometry, from the Materials Project database.

Values from the calculation:
**DFT formation energy**: -1801 meV per atom
**Energy**: -3.690 eV per atom

Cell and atoms, written as CIF:
```
data_AcI3
_chemical_formula_sum 'Ac2 I6'
_cell_length_a 11.5951
_cell_length_b 11.5951
_cell_length_c 4.3903
_cell_angle_alpha 90.00
_cell_angle_beta 90.00
_cell_angle_gamma 120.00
_symmetry_space_group_name_H-M 'P 63/m m c'
_symmetry_Int_Tables_number 194
_symmetry_space_group_name_Hall '-P 6c 2c'
loop_
_atom_site_label
_atom_site_fract_x
_atom_site_fract_y
_atom_site_fract_z
Ac1 0.3333 0.6667 0.2500
I1 0.2110 0.4220 0.7500
```

The following is a PBE calculation of crystalline MnSb at its relaxed geometry, from the Materials Project database.

Values from the calculation:
**DFT formation energy**: 326 meV per atom
**Energy**: -6.223 eV per atom
**Total magnetization**: 4.006 μB/f.u.

Cell and atoms, written as CIF:
```
data_MnSb
_chemical_formula_sum 'Mn4 Sb4'
_cell_length_a 6.1864
_cell_length_b 6.1864
_cell_length_c 6.1864
_cell_angle_alpha 90.00
_cell_angle_beta 90.00
_cell_angle_gamma 90.00
_symmetry_space_group_name_H-M 'F -4 3 m'
_symmetry_Int_Tables_number 216
_symmetry_space_group_name_Hall 'F -4 2 3'
loop_
_atom_site_label
_atom_site_fract_x
_atom_site_fract_y
_atom_site_fract_z
Mn1 0.0000 0.0000 0.0000
Sb1 0.2500 0.2500 0.7500
```

The following is a PBE calculation of crystalline Li3CeBi2 at its relaxed geometry, from the Materials Project database.

Values from the calculation:
**DFT formation energy**: -654 meV per atom
**Energy**: -3.894 eV per atom

Cell and atoms, written as CIF:
```
data_Li3CeBi2
_chemical_formula_sum 'Li3 Ce1 Bi2'
_cell_length_a 4.7252
_cell_length_b 4.7252
_cell_length_c 7.5017
_cell_angle_alpha 90.00
_cell_angle_beta 90.00
_cell_angle_gamma 120.00
_symmetry_space_group_name_H-M 'P -3 m 1'
_symmetry_Int_Tables_number 164
_symmetry_space_group_name_Hall '-P 3 2"'
loop_
_atom_site_label
_atom_site_fract_x
_atom_site_fract_y
_atom_site_fract_z
Li1 0.0000 0.0000 0.0000
Li2 0.3333 0.6667 0.8507
Ce1 0.0000 0.0000 0.5000
Bi1 0.3333 0.6667 0.2479
```

The following is a PBE calculation of crystalline Ce3Ta2N6 at its relaxed geometry, from the Materials Project database.

Values from the calculation:
**DFT formation energy**: -1574 meV per atom
**Energy**: -9.698 eV per atom

Cell and atoms, written as CIF:
```
data_Ce3Ta2N6
_chemical_formula_sum 'Ce6 Ta4 N12'
_cell_length_a 4.0458
_cell_length_b 4.0458
_cell_length_c 19.4866
_cell_angle_alpha 90.00
_cell_angle_beta 90.00
_cell_angle_gamma 90.00
_symmetry_space_group_name_H-M 'I 4/m m m'
_symmetry_Int_Tables_number 139
_symmetry_space_group_name_Hall '-I 4 2'
loop_
_atom_site_label
_atom_site_fract_x
_atom_site_fract_y
_atom_site_fract_z
Ce1 0.0000 0.0000 0.0000
Ce2 0.0000 0.0000 0.1811
Ta1 0.0000 0.0000 0.4006
N1 0.0000 0.0000 0.2990
N2 0.0000 0.5000 0.0837
```

The following is a PBE calculation of crystalline SmMg5 at its relaxed geometry, from the Materials Project database.

Values from the calculation:
**DFT formation energy**: -12 meV per atom
**Energy**: -2.132 eV per atom

Cell and atoms, written as CIF:
```
data_SmMg5
_chemical_formula_sum 'Sm2 Mg10'
_cell_length_a 13.9451
_cell_length_b 3.2501
_cell_length_c 6.7774
_cell_angle_alpha 90.00
_cell_angle_beta 103.59
_cell_angle_gamma 90.00
_symmetry_space_group_name_H-M 'C 1 2/m 1'
_symmetry_Int_Tables_number 12
_symmetry_space_group_name_Hall '-C 2y'
loop_
_atom_site_label
_atom_site_fract_x
_atom_site_fract_y
_atom_site_fract_z
Sm1 0.0000 0.0000 0.0000
Mg1 0.0000 0.0000 0.5000
Mg2 0.1698 0.5000 0.3450
Mg3 0.1733 0.5000 0.8262
```

The following is a PBE calculation of crystalline Sr4CN4 at its relaxed geometry, from the Materials Project database.

Values from the calculation:
**DFT formation energy**: -845 meV per atom
**Energy**: -6.166 eV per atom

Cell and atoms, written as CIF:
```
data_Sr4CN4
_chemical_formula_sum 'Sr16 C4 N16'
_cell_length_a 12.3593
_cell_length_b 3.8391
_cell_length_c 14.5563
_cell_angle_alpha 90.00
_cell_angle_beta 90.00
_cell_angle_gamma 90.00
_symmetry_space_group_name_H-M 'P n m a'
_symmetry_Int_Tables_number 62
_symmetry_space_group_name_Hall '-P 2ac 2n'
loop_
_atom_site_label
_atom_site_fract_x
_atom_site_fract_y
_atom_site_fract_z
Sr1 0.0933 0.2500 0.1855
Sr2 0.1132 0.7500 0.4035
Sr3 0.1251 0.7500 0.9678
Sr4 0.1603 0.2500 0.7616
C1 0.1494 0.7500 0.5967
N1 0.0142 0.2500 0.8793
N2 0.0554 0.7500 0.6279
N3 0.2197 0.2500 0.3308
N4 0.2419 0.7500 0.5631
```

Which of these has the highest energy? SmMg5

Which of these has the highest energy? SmMg5